[1]
The following is a PBE calculation of Dy11Ni60C6 after structural relaxation, from the Materials Project.

Geometry as POSCAR:
```
Dy11Ni60C6
1.0
-6.224 6.224 6.224
6.224 -6.224 6.224
6.224 6.224 -6.224
Dy Ni C
11 60 6
direct
0.000 0.000 0.337
0.000 0.000 0.663
0.000 0.337 0.000
0.000 0.500 0.500
0.000 0.663 0.000
0.337 0.000 0.000
0.337 0.337 0.337
0.500 0.000 0.500
0.500 0.500 0.000
0.663 0.000 0.000
0.663 0.663 0.663
0.000 0.142 0.142
0.000 0.233 0.581
0.000 0.419 0.767
0.000 0.581 0.233
0.000 0.767 0.419
0.000 0.858 0.858
0.142 0.000 0.142
0.142 0.142 0.000
0.148 0.320 0.468
0.148 0.468 0.320
0.148 0.680 0.828
0.148 0.828 0.680
0.172 0.320 0.852
0.172 0.852 0.320
0.233 0.000 0.581
0.233 0.233 0.652
0.233 0.581 0.000
0.233 0.652 0.233
0.250 0.500 0.750
0.250 0.750 0.500
0.320 0.148 0.468
0.320 0.172 0.852
0.320 0.468 0.148
0.320 0.852 0.172
0.348 0.581 0.581
0.348 0.767 0.767
0.419 0.000 0.767
0.419 0.419 0.652
0.419 0.652 0.419
0.419 0.767 0.000
0.468 0.148 0.320
0.468 0.320 0.148
0.500 0.250 0.750
0.500 0.750 0.250
0.532 0.680 0.852
0.532 0.852 0.680
0.581 0.000 0.233
0.581 0.233 0.000
0.581 0.348 0.581
0.581 0.581 0.348
0.652 0.233 0.233
0.652 0.419 0.419
0.680 0.148 0.828
0.680 0.532 0.852
0.680 0.828 0.148
0.680 0.852 0.532
0.750 0.250 0.500
0.750 0.500 0.250
0.767 0.000 0.419
0.767 0.348 0.767
0.767 0.419 0.000
0.767 0.767 0.348
0.828 0.148 0.680
0.828 0.680 0.148
0.852 0.172 0.320
0.852 0.320 0.172
0.852 0.532 0.680
0.852 0.680 0.532
0.858 0.000 0.858
0.858 0.858 0.000
0.000 0.290 0.290
0.000 0.710 0.710
0.290 0.000 0.290
0.290 0.290 0.000
0.710 0.000 0.710
0.710 0.710 0.000
```

Results
The calculated density comes out at 9.26 g cm⁻³. The value obtained for the total energy is -6.16 eV per atom. As for the formation energy: -275 meV/atom.

---

[2]
The following is a PBE calculation of CaEuYNbO6 after structural relaxation, from the Materials Project.

Geometry as POSCAR:
```
CaEuYNbO6
1.0
0.000 4.202 4.202
4.202 0.000 4.202
4.202 4.202 0.000
Ca Eu Y Nb O
1 1 1 1 6
direct
0.000 0.000 0.000
0.500 0.500 0.500
0.250 0.250 0.250
0.750 0.750 0.750
0.512 0.512 0.988
0.512 0.988 0.512
0.512 0.988 0.988
0.988 0.512 0.512
0.988 0.512 0.988
0.988 0.988 0.512
```

Results
The calculated density comes out at 5.26 g cm⁻³. The value obtained for the total energy is -8.74 eV per atom. As for the formation energy: -3301 meV/atom.

---

[3]
The following is a PBE calculation of Ga2O3 after structural relaxation, from the Materials Project.

Geometry as POSCAR:
```
Ga2O3
1.0
9.869 0.000 0.000
-0.538 10.175 0.000
-0.017 -0.706 10.404
Ga O
32 48
direct
0.000 0.000 0.000
0.006 0.178 0.299
0.006 0.817 0.754
0.024 0.524 0.259
0.060 0.647 0.535
0.112 0.884 0.235
0.179 0.132 0.555
0.195 0.579 0.777
0.212 0.190 0.873
0.287 0.667 0.077
0.294 0.355 0.125
0.313 0.027 0.106
0.316 0.831 0.605
0.340 0.585 0.361
0.398 0.258 0.350
0.448 0.178 0.661
0.466 0.527 0.899
0.535 0.136 0.919
0.572 0.837 0.986
0.582 0.873 0.295
0.593 0.683 0.477
0.626 0.411 0.521
0.631 0.917 0.687
0.703 0.168 0.383
0.729 0.646 0.765
0.730 0.337 0.811
0.843 0.773 0.208
0.886 0.908 0.473
0.933 0.102 0.694
0.957 0.588 0.975
0.960 0.369 0.555
0.963 0.300 0.041
0.030 0.010 0.558
0.060 0.514 0.659
0.072 0.252 0.463
0.119 0.191 0.725
0.145 0.615 0.953
0.151 0.064 0.261
0.157 0.312 0.002
0.188 0.765 0.735
0.189 0.037 0.969
0.195 0.612 0.228
0.240 0.696 0.486
0.277 0.852 0.155
0.297 0.402 0.303
0.311 0.010 0.609
0.346 0.229 0.518
0.356 0.508 0.760
0.377 0.197 0.167
0.392 0.493 0.060
0.393 0.228 0.845
0.436 0.708 0.966
0.473 0.724 0.326
0.486 0.996 0.017
0.487 0.526 0.466
0.506 0.804 0.595
0.546 0.057 0.752
0.558 0.039 0.356
0.579 0.299 0.363
0.591 0.312 0.666
0.652 0.513 0.860
0.661 0.811 0.827
0.677 0.828 0.137
0.685 0.239 0.946
0.706 0.590 0.594
0.730 0.794 0.384
0.776 0.991 0.606
0.793 0.328 0.471
0.854 0.070 0.345
0.873 0.273 0.705
0.897 0.416 0.935
0.900 0.687 0.844
0.901 0.604 0.150
0.919 0.134 0.085
0.936 0.768 0.593
0.948 0.975 0.827
0.979 0.522 0.426
0.981 0.854 0.095
0.985 0.809 0.339
0.999 0.345 0.215
```

Results
The calculated density comes out at 4.77 g cm⁻³. The value obtained for the total energy is -5.89 eV per atom. As for the formation energy: -2122 meV/atom.

---

[4]
The following is a PBE calculation of K2Bi3F11 after structural relaxation, from the Materials Project.

Geometry as POSCAR:
```
K2Bi3F11
1.0
4.255 0.000 0.000
-1.922 3.840 0.000
-1.755 -1.556 17.501
K Bi F
2 3 11
direct
0.000 0.000 0.000
0.295 0.833 0.200
0.076 0.323 0.601
0.492 0.212 0.807
0.696 0.511 0.403
0.041 0.012 0.702
0.130 0.325 0.429
0.281 0.626 0.792
0.428 0.951 0.365
0.606 0.149 0.516
0.619 0.319 0.934
0.651 0.305 0.664
0.679 0.519 0.281
0.916 0.151 0.130
0.942 0.798 0.553
0.969 0.993 0.848
```

Results
The calculated density comes out at 5.31 g cm⁻³. The value obtained for the total energy is -4.63 eV per atom. As for the formation energy: -2765 meV/atom.

---

[5]
The following is a PBE calculation of Rb2NbCuS4 after structural relaxation, from the Materials Project.

Geometry as POSCAR:
```
Rb2NbCuS4
1.0
0.000 6.921 12.158
2.804 0.000 12.158
2.804 6.921 0.000
Rb Nb Cu S
4 2 2 8
direct
0.052 0.052 0.698
0.302 0.302 0.948
0.698 0.698 0.052
0.948 0.948 0.302
0.125 0.125 0.125
0.875 0.875 0.875
0.375 0.375 0.375
0.625 0.625 0.625
0.030 0.327 0.411
0.268 0.589 0.673
0.327 0.030 0.732
0.411 0.732 0.030
0.589 0.268 0.970
0.673 0.970 0.268
0.732 0.411 0.327
0.970 0.673 0.589
```

Results
The calculated density comes out at 3.21 g cm⁻³. The calculation puts the excess energy over the best structure of this formula in the dataset at 0 meV per atom. The value obtained for the total energy is -5.15 eV per atom. As for the formation energy: -1317 meV/atom.

---

[6]
The following is a PBE calculation of Zn3Fe2C12N12 after structural relaxation, from the Materials Project.

Geometry as POSCAR:
```
Zn3Fe2C12N12
1.0
6.359 3.671 10.788
-6.359 3.671 10.788
0.000 -7.343 10.788
Zn Fe C N
6 4 24 24
direct
0.039 0.750 0.461
0.250 0.539 0.961
0.461 0.039 0.750
0.539 0.961 0.250
0.750 0.461 0.039
0.961 0.250 0.539
0.146 0.146 0.146
0.354 0.354 0.354
0.646 0.646 0.646
0.854 0.854 0.854
0.003 0.751 0.901
0.052 0.195 0.294
0.099 0.997 0.249
0.195 0.294 0.052
0.206 0.305 0.448
0.249 0.099 0.997
0.251 0.503 0.401
0.294 0.052 0.195
0.305 0.448 0.206
0.401 0.251 0.503
0.448 0.206 0.305
0.497 0.599 0.749
0.503 0.401 0.251
0.552 0.794 0.695
0.599 0.749 0.497
0.695 0.552 0.794
0.706 0.948 0.805
0.749 0.497 0.599
0.751 0.901 0.003
0.794 0.695 0.552
0.805 0.706 0.948
0.901 0.003 0.751
0.948 0.805 0.706
0.997 0.249 0.099
0.001 0.775 0.615
0.071 0.904 0.316
0.096 0.684 0.929
0.115 0.275 0.501
0.184 0.596 0.429
0.225 0.385 0.999
0.275 0.501 0.115
0.316 0.071 0.904
0.385 0.999 0.225
0.404 0.571 0.816
0.429 0.184 0.596
0.499 0.885 0.725
0.501 0.115 0.275
0.571 0.816 0.404
0.596 0.429 0.184
0.615 0.001 0.775
0.684 0.929 0.096
0.725 0.499 0.885
0.775 0.615 0.001
0.816 0.404 0.571
0.885 0.725 0.499
0.904 0.316 0.071
0.929 0.096 0.684
0.999 0.225 0.385
```

Results
The calculated density comes out at 1.36 g cm⁻³. The value obtained for the total energy is -7.76 eV per atom. As for the formation energy: 74 meV/atom.

---

[7]
The following is a PBE calculation of CdTe after structural relaxation, from the Materials Project.

Geometry as POSCAR:
```
CdTe
1.0
0.000 3.315 3.315
3.315 0.000 3.315
3.315 3.315 0.000
Cd Te
1 1
direct
0.000 0.000 0.000
0.750 0.750 0.750
```

Results
The calculated density comes out at 5.47 g cm⁻³. The value obtained for the largest piezoelectric modulus is 0.0 C/m2. The value obtained for the total energy is -2.49 eV per atom. As for the formation energy: -669 meV/atom.

---

[8]
The following is a PBE calculation of NaZr4P5SO24 after structural relaxation, from the Materials Project.

Geometry as POSCAR:
```
NaZr4P5SO24
1.0
8.946 0.000 0.000
4.464 7.753 0.000
0.024 0.004 23.328
Na Zr P S O
3 12 15 3 72
direct
0.000 0.000 0.000
0.000 0.004 0.504
0.333 0.333 0.836
0.000 0.005 0.652
0.001 0.999 0.856
0.002 0.992 0.358
0.328 0.338 0.187
0.333 0.332 0.981
0.339 0.325 0.479
0.342 0.326 0.690
0.661 0.666 0.525
0.666 0.666 0.814
0.668 0.666 0.024
0.673 0.665 0.317
0.998 0.994 0.146
0.001 0.290 0.753
0.001 0.710 0.252
0.044 0.332 0.085
0.289 0.709 0.753
0.332 0.045 0.585
0.335 0.621 0.085
0.379 0.954 0.919
0.380 0.665 0.419
0.619 0.045 0.086
0.623 0.330 0.585
0.667 0.377 0.919
0.668 0.951 0.420
0.713 0.998 0.753
0.955 0.377 0.420
0.955 0.666 0.919
0.045 0.622 0.585
0.290 0.999 0.252
0.711 0.288 0.252
0.025 0.170 0.095
0.025 0.797 0.592
0.028 0.798 0.305
0.032 0.174 0.806
0.123 0.517 0.637
0.130 0.357 0.139
0.133 0.359 0.429
0.137 0.505 0.926
0.152 0.543 0.534
0.159 0.300 0.033
0.160 0.532 0.243
0.162 0.309 0.744
0.172 0.022 0.592
0.173 0.803 0.094
0.174 0.794 0.806
0.180 0.028 0.304
0.196 0.975 0.912
0.198 0.828 0.411
0.203 0.821 0.699
0.208 0.973 0.201
0.301 0.539 0.033
0.303 0.159 0.532
0.307 0.529 0.744
0.309 0.152 0.244
0.356 0.509 0.429
0.357 0.131 0.639
0.357 0.136 0.926
0.359 0.511 0.139
0.461 0.698 0.472
0.461 0.845 0.261
0.462 0.844 0.973
0.467 0.690 0.761
0.489 0.641 0.365
0.489 0.871 0.865
0.492 0.642 0.077
0.492 0.867 0.576
0.506 0.357 0.926
0.510 0.131 0.427
0.511 0.131 0.140
0.511 0.359 0.639
0.531 0.161 0.745
0.536 0.304 0.532
0.539 0.159 0.033
0.540 0.306 0.244
0.640 0.488 0.865
0.641 0.869 0.365
0.642 0.866 0.077
0.644 0.489 0.576
0.691 0.841 0.761
0.692 0.461 0.261
0.694 0.461 0.973
0.700 0.839 0.473
0.793 0.180 0.304
0.795 0.030 0.806
0.802 0.026 0.094
0.805 0.168 0.592
0.820 0.209 0.201
0.822 0.974 0.699
0.828 0.195 0.912
0.828 0.975 0.411
0.840 0.461 0.473
0.841 0.691 0.262
0.842 0.467 0.761
0.845 0.693 0.973
0.866 0.491 0.077
0.870 0.488 0.366
0.872 0.639 0.865
0.873 0.641 0.577
0.972 0.826 0.200
0.974 0.205 0.699
0.975 0.196 0.410
0.976 0.827 0.912
```

Results
The calculated density comes out at 2.95 g cm⁻³. The value obtained for the total energy is -7.90 eV per atom. As for the formation energy: -3070 meV/atom.